Crystalline Ca3Ga5 at its relaxed geometry, computed with PBE.

a b c (Å): 5.865 5.865 15.049
angles (deg): 90.00 90.00 135.16
Atoms (fractional coordinates):
Ca 0.870 0.130 0.750
Ca 0.130 0.870 0.250
Ca 0.412 0.588 0.110
Ca 0.588 0.412 0.890
Ca 0.588 0.412 0.610
Ca 0.412 0.588 0.390
Ga 0.162 0.838 0.750
Ga 0.838 0.162 0.250
Ga 0.708 0.292 0.400
Ga 0.292 0.708 0.600
Ga 0.292 0.708 0.900
Ga 0.708 0.292 0.100
Ga 0.885 0.115 0.534
Ga 0.115 0.885 0.466
Ga 0.115 0.885 0.034
Ga 0.885 0.115 0.966

As for the space-group type: Cmcm (63). As for the crystal system: orthorhombic. The formation enthalpy at 0 K comes out at -0.515 eV per atom.